# 1
Material: Sc12I25
Method: DFT, PBE
State: relaxed

```
data_Sc12I25
_space_group_name_H-M_alt 'P -1'
_space_group_IT_number 2
_cell_length_a 13.046
_cell_length_b 13.055
_cell_length_c 15.910
_cell_angle_alpha 77.54
_cell_angle_beta 88.35
_cell_angle_gamma 88.62
loop_
_space_group_symop_operation_xyz
'x,y,z'
'-x,-y,-z'
loop_
_atom_site_label
_atom_site_type_symbol
_atom_site_fract_x
_atom_site_fract_y
_atom_site_fract_z
_atom_site_occupancy
Sc1 Sc 0.014 0.094 0.079 1
Sc2 Sc 0.057 0.300 0.242 1
Sc3 Sc 0.093 0.500 0.407 1
Sc4 Sc 0.138 0.698 0.559 1
Sc5 Sc 0.181 0.901 0.720 1
Sc6 Sc 0.217 0.096 0.881 1
Sc7 Sc 0.263 0.302 0.039 1
Sc8 Sc 0.301 0.500 0.198 1
Sc9 Sc 0.339 0.700 0.363 1
Sc10 Sc 0.382 0.902 0.520 1
Sc11 Sc 0.419 0.094 0.676 1
Sc12 Sc 0.460 0.302 0.843 1
I1 I 0.010 0.864 0.612 1
I2 I 0.033 0.331 0.550 1
I3 I 0.048 0.065 0.770 1
I4 I 0.072 0.535 0.708 1
I5 I 0.089 0.260 0.934 1
I6 I 0.112 0.737 0.868 1
I7 I 0.128 0.463 0.093 1
I8 I 0.153 0.935 0.031 1
I9 I 0.169 0.661 0.255 1
I10 I 0.187 0.138 0.186 1
I11 I 0.209 0.864 0.413 1
I12 I 0.228 0.339 0.348 1
I13 I 0.247 0.064 0.570 1
I14 I 0.271 0.535 0.509 1
I15 I 0.291 0.259 0.733 1
I16 I 0.310 0.737 0.667 1
I17 I 0.329 0.459 0.893 1
I18 I 0.352 0.935 0.828 1
I19 I 0.369 0.663 0.056 1
I20 I 0.390 0.135 0.988 1
I21 I 0.412 0.862 0.215 1
I22 I 0.426 0.337 0.148 1
I23 I 0.447 0.066 0.372 1
I24 I 0.470 0.537 0.308 1
I25 I 0.488 0.263 0.531 1
```

density = 4662 kg/m³
calculated total energy = -4.224 eV/atom
spin magnetization = 0.3 Bohr magnetons per cell
formation enthalpy at 0 K = -32.2 kcal/mol of atoms

---

# 2
Material: SeI2
Method: DFT, PBE
State: relaxed

```
data_SeI2
_space_group_name_H-M_alt 'P 42/m n m'
_space_group_IT_number 136
_space_group_name_Hall '-P 4n 2n'
_cell_length_a 8.460
_cell_length_b 8.460
_cell_length_c 3.933
_cell_angle_alpha 90.00
_cell_angle_beta 90.00
_cell_angle_gamma 90.00
loop_
_atom_site_label
_atom_site_type_symbol
_atom_site_fract_x
_atom_site_fract_y
_atom_site_fract_z
_atom_site_occupancy
Se1 Se 0.000 0.000 0.000 1
I1 I 0.169 0.169 0.500 1
```

density = 3926 kg/m³
calculated total energy = -2.114 eV/atom
formation enthalpy at 0 K = -4.3 kcal/mol of atoms

---

# 3
Material: Ta3Se12I
Method: DFT, PBE
State: relaxed

```
data_Ta3Se12I
_space_group_name_H-M_alt 'P 4/m n c'
_space_group_IT_number 128
_space_group_name_Hall '-P 4 2n'
_cell_length_a 9.719
_cell_length_b 9.719
_cell_length_c 19.363
_cell_angle_alpha 90.00
_cell_angle_beta 90.00
_cell_angle_gamma 90.00
loop_
_atom_site_label
_atom_site_type_symbol
_atom_site_fract_x
_atom_site_fract_y
_atom_site_fract_z
_atom_site_occupancy
Ta1 Ta 0.000 0.500 0.079 1
Ta2 Ta 0.000 0.500 0.250 1
Se1 Se 0.019 0.278 0.000 1
Se2 Se 0.049 0.710 0.172 1
Se3 Se 0.106 0.697 0.500 1
Se4 Se 0.123 0.316 0.340 1
I1 I 0.000 0.000 0.370 1
```

density = 5873 kg/m³
calculated total energy = -5.469 eV/atom
formation enthalpy at 0 K = -12.7 kcal/mol of atoms

---

- What is the formation enthalpy at 0 K in the first record?
  -32.2 kcal/mol of atoms

---

- Which of these has the highest formation enthalpy at 0 K?
  SeI2

---

- The lowest density belongs to which entry?
  SeI2